No. 1
This record from the Materials Project database describes an optimized crystal structure of Li4Ge9O20. The functional is GGA-PBE.

Results
For the density, the calculation gives 4.28 Mg/m³. The space group is C2 (5).

a b c (Å): 7.497 7.497 7.601
angles (deg): 89.49 89.49 65.49
Fractional coordinates of all 33 atoms:
Li  0.346  0.067  0.382
Li  0.933  0.654  0.618
Li  0.328  0.672  0.000
Li  0.710  0.290  0.000
Ge  0.348  0.349  0.709
Ge  0.651  0.652  0.291
Ge  0.607  0.921  0.950
Ge  0.079  0.393  0.050
Ge  0.117  0.084  0.760
Ge  0.916  0.883  0.240
Ge  0.508  0.682  0.670
Ge  0.318  0.492  0.330
Ge  0.766  0.234  0.500
O  0.218  0.558  0.545
O  0.442  0.782  0.455
O  0.148  0.503  0.870
O  0.497  0.852  0.130
O  0.457  0.161  0.884
O  0.915  0.107  0.319
O  0.893  0.085  0.681
O  0.521  0.466  0.785
O  0.534  0.479  0.215
O  0.157  0.709  0.201
O  0.291  0.843  0.799
O  0.809  0.964  0.030
O  0.036  0.191  0.970
O  0.525  0.241  0.499
O  0.759  0.475  0.501
O  0.790  0.793  0.387
O  0.207  0.210  0.613
O  0.247  0.313  0.230
O  0.687  0.753  0.770
O  0.839  0.543  0.116


No. 2
This record from the Materials Project database describes an optimized crystal structure of CsSb2F11. The functional is GGA-PBE.

Results
For the density, the calculation gives 3.72 Mg/m³. The space group is P2_1/c (14).

a b c (Å): 14.646 7.925 9.906
angles (deg): 65.50 90.00 90.00
Fractional coordinates of all 56 atoms:
Cs  0.628  0.742  0.274
Cs  0.372  0.258  0.726
Cs  0.872  0.742  0.774
Cs  0.128  0.258  0.226
Sb  0.950  0.733  0.243
Sb  0.050  0.267  0.757
Sb  0.550  0.733  0.743
Sb  0.805  0.279  0.309
Sb  0.195  0.721  0.691
Sb  0.305  0.721  0.191
Sb  0.695  0.279  0.809
Sb  0.450  0.267  0.257
F  0.358  0.880  0.006
F  0.950  0.416  0.651
F  0.521  0.048  0.340
F  0.743  0.087  0.282
F  0.257  0.913  0.718
F  0.873  0.490  0.344
F  0.757  0.087  0.782
F  0.794  0.330  0.911
F  0.243  0.913  0.218
F  0.479  0.952  0.660
F  0.206  0.670  0.089
F  0.339  0.158  0.355
F  0.550  0.416  0.151
F  0.142  0.880  0.506
F  0.736  0.476  0.631
F  0.236  0.524  0.869
F  0.450  0.584  0.849
F  0.973  0.654  0.089
F  0.414  0.743  0.288
F  0.294  0.670  0.589
F  0.586  0.780  0.909
F  0.027  0.346  0.911
F  0.161  0.158  0.855
F  0.858  0.120  0.494
F  0.706  0.330  0.411
F  0.627  0.490  0.844
F  0.086  0.220  0.591
F  0.979  0.048  0.840
F  0.642  0.120  0.994
F  0.586  0.257  0.712
F  0.914  0.780  0.409
F  0.764  0.476  0.131
F  0.050  0.584  0.349
F  0.373  0.510  0.156
F  0.264  0.524  0.369
F  0.473  0.346  0.411
F  0.414  0.220  0.091
F  0.527  0.654  0.589
F  0.021  0.952  0.160
F  0.661  0.842  0.645
F  0.839  0.842  0.145
F  0.914  0.257  0.212
F  0.127  0.510  0.656
F  0.086  0.743  0.788


No. 3
This record from the Materials Project database describes an optimized crystal structure of Ba3W2N4. The functional is GGA-PBE.

Results
For the density, the calculation gives 7.78 Mg/m³. The value obtained for the energy above the most stable polymorph in this dataset is 0 meV/atom. The space group is Pnna (52).

a b c (Å): 6.261 10.910 10.440
angles (deg): 90.00 90.00 90.00
Fractional coordinates of all 36 atoms:
Ba  0.624  0.159  0.419
Ba  0.876  0.841  0.419
Ba  0.624  0.341  0.081
Ba  0.876  0.659  0.081
Ba  0.376  0.841  0.581
Ba  0.124  0.159  0.581
Ba  0.376  0.659  0.919
Ba  0.124  0.341  0.919
Ba  0.750  0.500  0.402
Ba  0.750  0.000  0.098
Ba  0.250  0.500  0.598
Ba  0.250  0.000  0.902
W  0.750  0.500  0.737
W  0.750  0.000  0.763
W  0.250  0.500  0.263
W  0.250  0.000  0.237
W  0.641  0.250  0.750
W  0.859  0.750  0.750
W  0.359  0.750  0.250
W  0.141  0.250  0.250
N  0.836  0.350  0.638
N  0.664  0.650  0.638
N  0.836  0.150  0.862
N  0.664  0.850  0.862
N  0.164  0.650  0.362
N  0.336  0.350  0.362
N  0.164  0.850  0.138
N  0.336  0.150  0.138
N  0.526  0.412  0.832
N  0.974  0.588  0.832
N  0.526  0.088  0.668
N  0.974  0.912  0.668
N  0.474  0.588  0.168
N  0.026  0.412  0.168
N  0.474  0.912  0.332
N  0.026  0.088  0.332


No. 4
This record from the Materials Project database describes an optimized crystal structure of CeTlP2S7. The functional is GGA-PBE.

Results
For the density, the calculation gives 3.73 Mg/m³. The space group is P2_1/c (14).

a b c (Å): 12.501 9.130 9.842
angles (deg): 89.62 90.00 90.00
Fractional coordinates of all 44 atoms:
Ce  0.643  0.109  0.144
Ce  0.143  0.391  0.856
Ce  0.357  0.891  0.856
Ce  0.857  0.609  0.144
Tl  0.810  0.371  0.603
Tl  0.310  0.129  0.397
Tl  0.190  0.629  0.397
Tl  0.690  0.871  0.603
P  0.598  0.478  0.276
P  0.098  0.022  0.724
P  0.402  0.522  0.724
P  0.902  0.978  0.276
P  0.038  0.302  0.189
P  0.538  0.198  0.811
P  0.962  0.698  0.811
P  0.462  0.802  0.189
S  0.941  0.320  0.024
S  0.441  0.180  0.976
S  0.059  0.680  0.976
S  0.559  0.820  0.024
S  0.796  0.110  0.374
S  0.296  0.390  0.626
S  0.204  0.890  0.626
S  0.704  0.610  0.374
S  0.555  0.291  0.370
S  0.055  0.209  0.630
S  0.445  0.709  0.630
S  0.945  0.791  0.370
S  0.193  0.354  0.149
S  0.693  0.146  0.851
S  0.807  0.646  0.851
S  0.307  0.854  0.149
S  0.663  0.432  0.090
S  0.163  0.068  0.910
S  0.337  0.568  0.910
S  0.837  0.932  0.090
S  0.056  0.079  0.254
S  0.556  0.421  0.746
S  0.944  0.921  0.746
S  0.444  0.579  0.254
S  0.978  0.430  0.339
S  0.478  0.070  0.661
S  0.022  0.570  0.661
S  0.522  0.930  0.339


No. 5
This record from the Materials Project database describes an optimized crystal structure of Er2Ru2O7. The functional is GGA-PBE.

Results
For the density, the calculation gives 8.21 Mg/m³. The space group is Fd-3m (227).

a b c (Å): 7.187 7.187 7.187
angles (deg): 60.00 60.00 60.00
Fractional coordinates of all 22 atoms:
Er  0.125  0.125  0.625
Er  0.125  0.625  0.125
Er  0.625  0.125  0.125
Er  0.125  0.125  0.125
Ru  0.625  0.625  0.125
Ru  0.625  0.125  0.625
Ru  0.125  0.625  0.625
Ru  0.625  0.625  0.625
O  0.250  0.250  0.250
O  0.000  0.000  0.000
O  0.538  0.962  0.538
O  0.288  0.712  0.288
O  0.538  0.538  0.962
O  0.962  0.538  0.538
O  0.538  0.962  0.962
O  0.962  0.962  0.538
O  0.962  0.538  0.962
O  0.712  0.288  0.288
O  0.288  0.712  0.712
O  0.712  0.288  0.712
O  0.288  0.288  0.712
O  0.712  0.712  0.288


No. 6
This record from the Materials Project database describes an optimized crystal structure of ZnH2SO5. The functional is GGA-PBE.

Results
For the density, the calculation gives 3.22 Mg/m³. The space group is C2/c (15).

a b c (Å): 5.199 5.199 7.622
angles (deg): 73.50 73.50 96.82
Fractional coordinates of all 18 atoms:
Zn  0.000  0.500  0.500
Zn  0.500  0.000  0.000
H  0.629  0.546  0.796
H  0.454  0.371  0.704
H  0.371  0.454  0.204
H  0.546  0.629  0.296
S  0.094  0.906  0.750
S  0.906  0.094  0.250
O  0.226  0.818  0.899
O  0.182  0.774  0.601
O  0.774  0.182  0.101
O  0.818  0.226  0.399
O  0.178  0.212  0.658
O  0.788  0.822  0.842
O  0.822  0.788  0.342
O  0.212  0.178  0.158
O  0.616  0.384  0.750
O  0.384  0.616  0.250


no.,DFT formation energy (eV/atom),final energy (eV/atom)
1,-2.16,-6.234
2,-2.79,-4.584
3,-0.69,-7.753
4,-1.05,-5.102
5,-2.61,-7.835
6,-1.69,-5.414